(1)
Crystalline NiTe2 at its relaxed geometry, computed with GGA-PBE.

Cell: 3.8995 3.8995 5.2425 Å, 90.00 90.00 120.00°
Element x y z (fractional)
Te1 0.6667 0.3333 0.7525
Te2 0.3333 0.6667 0.2475
Ni1 0.0000 0.0000 0.0000

Calculated values
space-group type: P-3m1



(2)
Crystalline Ni3Te at its relaxed geometry, computed with GGA-PBE.

Cell: 5.3361 5.3361 4.2682 Å, 90.00 90.00 120.00°
Element x y z (fractional)
Te1 0.3333 0.6667 0.7500
Te2 0.6667 0.3333 0.2500
Ni1 0.1611 0.3223 0.2500
Ni2 0.6777 0.8389 0.2500
Ni3 0.3223 0.1611 0.7500
Ni4 0.8389 0.6777 0.7500
Ni5 0.8389 0.1611 0.7500
Ni6 0.1611 0.8389 0.2500

Calculated values
space-group type: P6_3/mmc
M_tot: 0.0 μB per cell



(3)
Crystalline Y5Ni2Te2 at its relaxed geometry, computed with GGA-PBE.

Cell: 7.8235 7.8235 15.0352 Å, 90.00 90.00 150.24°
Element x y z (fractional)
Te1 0.6154 0.3846 0.0397
Te2 0.6154 0.3846 0.4603
Te3 0.3846 0.6154 0.9603
Te4 0.3846 0.6154 0.5397
Ni1 0.8147 0.1853 0.2500
Ni2 0.1853 0.8147 0.7500
Ni3 0.5875 0.4125 0.7500
Ni4 0.4125 0.5875 0.2500
Y1 0.7412 0.2588 0.8725
Y2 0.0400 0.9600 0.6233
Y3 0.3950 0.6050 0.7500
Y4 0.7412 0.2588 0.6275
Y5 0.2588 0.7412 0.1275
Y6 0.9600 0.0400 0.1233
Y7 0.9600 0.0400 0.3767
Y8 0.2588 0.7412 0.3725
Y9 0.0400 0.9600 0.8767
Y10 0.6050 0.3950 0.2500

Calculated values
relative energy among the computed polymorphs: 0.0 kJ/mol of atoms
space-group type: Cmcm
M_tot: 0.0 μB per cell



(4)
Crystalline Y5Ni2Te2 at its relaxed geometry, computed with GGA-PBE.

Cell: 4.0451 14.4606 15.8121 Å, 90.00 90.00 90.00°
Element x y z (fractional)
Te1 0.2500 0.9659 0.3723
Te2 0.7500 0.0341 0.6277
Te3 0.7500 0.5341 0.8723
Te4 0.7500 0.0472 0.1290
Te5 0.2500 0.9528 0.8710
Te6 0.2500 0.4659 0.1277
Te7 0.7500 0.5472 0.3710
Te8 0.2500 0.4528 0.6290
Y1 0.2500 0.8818 0.5533
Y2 0.2500 0.1496 0.2594
Y3 0.2500 0.7079 0.8746
Y4 0.7500 0.6182 0.0533
Y5 0.2500 0.3818 0.9467
Y6 0.7500 0.8504 0.7406
Y7 0.2500 0.8851 0.1897
Y8 0.7500 0.6149 0.6897
Y9 0.7500 0.1149 0.8103
Y10 0.2500 0.6496 0.2406
Y11 0.7500 0.1182 0.4467
Y12 0.7500 0.3504 0.7594
Y13 0.2500 0.6385 0.5026
Y14 0.2500 0.1385 0.9974
Y15 0.7500 0.7921 0.3746
Y16 0.7500 0.3615 0.4974
Y17 0.2500 0.2079 0.6254
Y18 0.2500 0.3851 0.3103
Y19 0.7500 0.8615 0.0026
Y20 0.7500 0.2921 0.1254
Ni1 0.2500 0.7473 0.0661
Ni2 0.7500 0.7597 0.1778
Ni3 0.7500 0.2527 0.9339
Ni4 0.7500 0.7527 0.5661
Ni5 0.2500 0.7403 0.6778
Ni6 0.2500 0.2473 0.4339
Ni7 0.2500 0.2403 0.8222
Ni8 0.7500 0.2597 0.3222

Calculated values
relative energy among the computed polymorphs: 0.5 kJ/mol of atoms
space-group type: Pnma
M_tot: 1.6 μB per cell



(5)
Crystalline Th2Ni7 at its relaxed geometry, computed with GGA-PBE.

Cell: 4.9763 4.9763 12.7393 Å, 78.74 78.74 60.00°
Element x y z (fractional)
Th1 0.1450 0.1450 0.5650
Th2 0.0499 0.0499 0.8502
Th3 0.9501 0.9501 0.1498
Th4 0.8550 0.8550 0.4350
Ni1 0.6105 0.1077 0.6714
Ni2 0.8923 0.3895 0.3286
Ni3 0.2785 0.2785 0.1646
Ni4 0.3895 0.3895 0.3286
Ni5 0.3883 0.3883 0.8350
Ni6 0.6117 0.6117 0.1650
Ni7 0.6105 0.6105 0.6714
Ni8 0.1077 0.6105 0.6714
Ni9 0.5000 0.0000 0.0000
Ni10 0.5000 0.5000 0.5000
Ni11 0.0000 0.5000 0.0000
Ni12 0.5000 0.5000 0.0000
Ni13 0.3895 0.8923 0.3286
Ni14 0.7215 0.7215 0.8354

Calculated values
space-group type: R-3m
M_tot: 0.0 μB per cell



(6)
Crystalline Th2Ni17 at its relaxed geometry, computed with GGA-PBE.

Cell: 8.3284 8.3284 8.0739 Å, 90.00 90.00 120.00°
Element x y z (fractional)
Ni1 0.8344 0.6689 0.4800
Ni2 0.3311 0.1656 0.4800
Ni3 0.8344 0.1656 0.4800
Ni4 0.9556 0.6273 0.7500
Ni5 0.3727 0.0444 0.7500
Ni6 0.6667 0.3333 0.6019
Ni7 0.3727 0.3283 0.7500
Ni8 0.5000 0.5000 0.5000
Ni9 0.1656 0.3311 0.9800
Ni10 0.6689 0.8344 0.5200
Ni11 0.8344 0.6689 0.0200
Ni12 0.0000 0.5000 0.0000
Ni13 0.3333 0.6667 0.1019
Ni14 0.1656 0.8344 0.5200
Ni15 0.6717 0.0444 0.7500
Ni16 0.0000 0.5000 0.5000
Ni17 0.3283 0.3727 0.2500
Ni18 0.5000 0.0000 0.0000
Ni19 0.9556 0.3283 0.7500
Ni20 0.6689 0.8344 0.9800
Ni21 0.6717 0.6273 0.7500
Ni22 0.1656 0.8344 0.9800
Ni23 0.5000 0.5000 0.0000
Ni24 0.0444 0.6717 0.2500
Ni25 0.3283 0.9556 0.2500
Ni26 0.6273 0.9556 0.2500
Ni27 0.1656 0.3311 0.5200
Ni28 0.3333 0.6667 0.3981
Ni29 0.6667 0.3333 0.8981
Ni30 0.6273 0.6717 0.2500
Ni31 0.0444 0.3727 0.2500
Ni32 0.3311 0.1656 0.0200
Ni33 0.8344 0.1656 0.0200
Ni34 0.5000 0.0000 0.5000
Th1 0.0000 0.0000 0.7500
Th2 0.0000 0.0000 0.2500
Th3 0.6667 0.3333 0.2500
Th4 0.3333 0.6667 0.7500

Calculated values
space-group type: P6_3/mmc



(7)
Crystalline Th2Ni7 at its relaxed geometry, computed with GGA-PBE.

Cell: 4.9743 4.9743 24.7620 Å, 90.00 90.00 120.00°
Element x y z (fractional)
Ni1 0.6668 0.8334 0.7500
Ni2 0.1672 0.8328 0.9145
Ni3 0.0000 0.0000 0.5000
Ni4 0.0000 0.0000 0.6674
Ni5 0.3332 0.1666 0.2500
Ni6 0.8334 0.1666 0.2500
Ni7 0.6656 0.8328 0.5855
Ni8 0.1672 0.3344 0.9145
Ni9 0.3344 0.1672 0.0855
Ni10 0.0000 0.0000 0.3326
Ni11 0.6667 0.3333 0.3325
Ni12 0.1666 0.8334 0.7500
Ni13 0.8328 0.1672 0.4145
Ni14 0.1672 0.8328 0.5855
Ni15 0.0000 0.0000 0.0000
Ni16 0.0000 0.0000 0.1674
Ni17 0.8328 0.1672 0.0855
Ni18 0.1666 0.3332 0.7500
Ni19 0.3333 0.6667 0.6675
Ni20 0.8328 0.6656 0.4145
Ni21 0.0000 0.0000 0.8326
Ni22 0.1672 0.3344 0.5855
Ni23 0.8328 0.6656 0.0855
Ni24 0.8334 0.6668 0.2500
Ni25 0.6656 0.8328 0.9145
Ni26 0.6667 0.3333 0.1675
Ni27 0.3344 0.1672 0.4145
Ni28 0.3333 0.6667 0.8325
Th1 0.3333 0.6667 0.1757
Th2 0.6667 0.3333 0.9680
Th3 0.3333 0.6667 0.3243
Th4 0.3333 0.6667 0.4680
Th5 0.3333 0.6667 0.0320
Th6 0.6667 0.3333 0.6757
Th7 0.6667 0.3333 0.5320
Th8 0.6667 0.3333 0.8243

Calculated values
space-group type: P6_3/mmc
M_tot: 0.1 μB per cell



(8)
Crystalline TiNi at its relaxed geometry, computed with GGA-PBE.

Cell: 4.5038 4.5038 4.7551 Å, 90.00 90.00 120.00°
Element x y z (fractional)
Ni1 0.6667 0.3333 0.6535
Ni2 0.3333 0.6667 0.6535
Ni3 0.0000 0.0000 0.2142
Ti1 0.0000 0.0000 0.7243
Ti2 0.6667 0.3333 0.1472
Ti3 0.3333 0.6667 0.1472

Calculated values
space-group type: P6mm
M_tot: 0.0 μB per cell



(9)
Crystalline TiNi at its relaxed geometry, computed with GGA-PBE.

Cell: 2.7358 2.7358 3.5814 Å, 90.00 90.00 90.00°
Element x y z (fractional)
Ni1 0.0000 0.0000 0.0000
Ti1 0.5000 0.5000 0.5000

Calculated values
space-group type: P4/mmm
M_tot: 0.1 μB per cell



(10)
Crystalline TiNi at its relaxed geometry, computed with GGA-PBE.

Cell: 4.9193 4.9193 4.0142 Å, 90.00 90.00 145.50°
Element x y z (fractional)
Ti1 0.3573 0.6427 0.2500
Ti2 0.6427 0.3573 0.7500
Ni1 0.9149 0.0851 0.7500
Ni2 0.0851 0.9149 0.2500

Calculated values
space-group type: Cmcm



(11)
Crystalline Ti3Ni4 at its relaxed geometry, computed with GGA-PBE.

Cell: 6.6904 6.6904 6.6904 Å, 113.88 113.88 113.88°
Element x y z (fractional)
Ni1 0.5845 0.7437 0.0603
Ni2 0.0603 0.5845 0.7437
Ni3 0.4155 0.2563 0.9397
Ni4 0.0000 0.0000 0.0000
Ni5 0.9397 0.4155 0.2563
Ni6 0.5000 0.5000 0.5000
Ni7 0.7437 0.0603 0.5845
Ni8 0.2563 0.9397 0.4155
Ti1 0.4945 0.8914 0.7574
Ti2 0.5055 0.1086 0.2426
Ti3 0.8914 0.7574 0.4945
Ti4 0.2426 0.5055 0.1086
Ti5 0.1086 0.2426 0.5055
Ti6 0.7574 0.4945 0.8914

Calculated values
space-group type: R-3



(12)
Crystalline TiNi4 at its relaxed geometry, computed with GGA-PBE.

Cell: 2.5721 2.5721 10.4732 Å, 90.00 97.05 120.00°
Element x y z (fractional)
Ni1 0.1929 0.5964 0.7893
Ni2 0.6025 0.8012 0.4037
Ni3 0.8071 0.4036 0.2107
Ni4 0.3975 0.1988 0.5963
Ti1 0.0000 0.0000 0.0000

Calculated values
space-group type: R-3m
M_tot: 1.1 μB per cell



(13)
Crystalline Ti2Ni at its relaxed geometry, computed with GGA-PBE.

Cell: 7.9726 7.9726 7.9726 Å, 60.00 60.00 60.00°
Element x y z (fractional)
Ti1 0.0626 0.4374 0.0626
Ti2 0.1874 0.8126 0.1874
Ti3 0.4374 0.0626 0.0626
Ti4 0.1874 0.1874 0.8126
Ti5 0.6250 0.6250 0.1250
Ti6 0.0626 0.4374 0.4374
Ti7 0.4374 0.4374 0.0626
Ti8 0.6250 0.6250 0.6250
Ti9 0.6250 0.1250 0.6250
Ti10 0.8126 0.1874 0.8126
Ti11 0.0626 0.0626 0.4374
Ti12 0.1874 0.8126 0.8126
Ti13 0.4374 0.0626 0.4374
Ti14 0.1250 0.6250 0.6250
Ti15 0.8126 0.1874 0.1874
Ti16 0.8126 0.8126 0.1874
Ni1 0.4846 0.8385 0.8385
Ni2 0.4115 0.4115 0.4115
Ni3 0.8385 0.8385 0.8385
Ni4 0.7654 0.4115 0.4115
Ni5 0.8385 0.8385 0.4846
Ni6 0.8385 0.4846 0.8385
Ni7 0.4115 0.4115 0.7654
Ni8 0.4115 0.7654 0.4115

Calculated values
space-group type: Fd-3m



(14)
Crystalline TiNi at its relaxed geometry, computed with GGA-PBE.

Cell: 7.2781 7.2781 5.3187 Å, 90.00 90.00 120.00°
Element x y z (fractional)
Ti1 0.3309 0.9869 0.3460
Ti2 0.0000 0.0000 0.0000
Ti3 0.6560 0.6691 0.3460
Ti4 0.3333 0.6667 0.0441
Ti5 0.3440 0.3309 0.6540
Ti6 0.6691 0.0131 0.6540
Ti7 0.9869 0.6560 0.6540
Ti8 0.0131 0.3440 0.3460
Ti9 0.6667 0.3333 0.9559
Ni1 0.3139 0.9738 0.8590
Ni2 0.9738 0.6599 0.1410
Ni3 0.0000 0.0000 0.5000
Ni4 0.6667 0.3333 0.4137
Ni5 0.0262 0.3401 0.8590
Ni6 0.3401 0.3139 0.1410
Ni7 0.6599 0.6861 0.8590
Ni8 0.3333 0.6667 0.5863
Ni9 0.6861 0.0262 0.1410

Calculated values
space-group type: P-3



(15)
Crystalline TiNi at its relaxed geometry, computed with GGA-PBE.

Cell: 2.7414 4.2514 4.5804 Å, 90.00 90.00 90.00°
Element x y z (fractional)
Ni1 0.0000 0.7500 0.1902
Ni2 0.0000 0.2500 0.8098
Ti1 0.5000 0.7500 0.7173
Ti2 0.5000 0.2500 0.2827

Calculated values
space-group type: Pmma



(16)
Crystalline TiNi at its relaxed geometry, computed with GGA-PBE.

Cell: 3.8219 3.8219 3.6362 Å, 90.00 90.00 90.00°
Element x y z (fractional)
Ni1 0.5000 0.5000 0.0000
Ni2 0.0000 0.0000 0.0000
Ti1 0.0000 0.5000 0.4808
Ti2 0.5000 0.0000 0.5192

Calculated values
space-group type: P4/nmm
M_tot: 0.0 μB per cell



(17)
Crystalline TiNi at its relaxed geometry, computed with GGA-PBE.

Cell: 5.3905 7.2493 7.2519 Å, 119.96 90.12 90.04°
Element x y z (fractional)
Ti1 0.6603 0.0077 0.3349
Ti2 0.9674 0.3331 0.6658
Ti3 0.3629 0.9858 0.6540
Ti4 0.3602 0.6688 0.0141
Ti5 0.0688 0.6662 0.3330
Ti6 0.6605 0.6651 0.6727
Ti7 0.3610 0.3473 0.3348
Ti8 0.6607 0.3271 0.9920
Ti9 0.9737 0.9993 0.9993
Ni1 0.6142 0.6659 0.3322
Ni2 0.8814 0.6685 0.0226
Ni3 0.4379 0.0025 0.0021
Ni4 0.8812 0.3521 0.3281
Ni5 0.1541 0.0271 0.3340
Ni6 0.4268 0.3339 0.6691
Ni7 0.8832 0.9765 0.6454
Ni8 0.1541 0.3069 0.9727
Ni9 0.1544 0.6661 0.6933

Calculated values
space-group type: P1
M_tot: 2.5 μB per cell



(18)
Crystalline TiNi at its relaxed geometry, computed with GGA-PBE.

Cell: 7.2465 7.2465 5.3974 Å, 90.00 90.00 120.00°
Element x y z (fractional)
Ni1 0.0000 0.3596 0.8406
Ni2 0.6878 0.0000 0.1192
Ni3 0.3122 0.3122 0.1192
Ni4 0.0000 0.6878 0.1192
Ni5 0.0000 0.0000 0.3844
Ni6 0.6404 0.6404 0.8406
Ni7 0.3333 0.6667 0.5580
Ni8 0.6667 0.3333 0.5580
Ni9 0.3596 0.0000 0.8406
Ti1 0.6667 0.3333 0.0181
Ti2 0.0000 0.6852 0.6355
Ti3 0.0000 0.3457 0.3330
Ti4 0.3333 0.6667 0.0181
Ti5 0.6543 0.6543 0.3330
Ti6 0.0000 0.0000 0.9357
Ti7 0.3148 0.3148 0.6355
Ti8 0.3457 0.0000 0.3330
Ti9 0.6852 0.0000 0.6355

Calculated values
space-group type: P31m
M_tot: 2.4 μB per cell



| no. | energy (eV/atom) |
| --- | --- |
| 1 | -4.25 |
| 2 | -5.08 |
| 3 | -6.39 |
| 4 | -6.39 |
| 5 | -6.58 |
| 6 | -6.20 |
| 7 | -6.58 |
| 8 | -6.94 |
| 9 | -7.17 |
| 10 | -7.23 |
| 11 | -7.10 |
| 12 | -6.23 |
| 13 | -7.47 |
| 14 | -7.21 |
| 15 | -7.22 |
| 16 | -7.16 |
| 17 | -7.21 |
| 18 | -7.21 |